First-principles (PBE-GGA) data for Na6Y4Si5Sn4S7O48 after structural relaxation, as listed in Materials Project.

Calculated values
**E_form**: -57.80 kcal/mol of atoms

```
data_Na6Y4Si5Sn4S7O48
_chemical_formula_sum 'Na18 Y12 Si15 Sn12 S21 O144'
_symmetry_space_group_name_H-M 'P 1'
_symmetry_Int_Tables_number 1
_symmetry_space_group_name_Hall 'P 1'
_cell_length_a 9.070
_cell_length_b 15.785
_cell_length_c 23.602
_cell_angle_alpha 90.25
_cell_angle_beta 90.00
_cell_angle_gamma 90.03
loop_
_atom_site_label
_atom_site_fract_x
_atom_site_fract_y
_atom_site_fract_z
Na1 0.000 0.000 0.000
Na2 0.001 0.671 0.333
Na3 0.012 0.014 0.513
Na4 0.015 0.674 0.842
Na5 0.016 0.351 0.170
Na6 0.136 0.168 0.589
Na7 0.383 0.668 0.090
Na8 0.486 0.854 0.677
Na9 0.500 0.175 0.337
Na10 0.509 0.503 0.019
Na11 0.515 0.496 0.497
Na12 0.518 0.173 0.838
Na13 0.526 0.840 0.177
Na14 0.639 0.669 0.586
Na15 0.651 0.333 0.922
Na16 0.862 0.835 0.412
Na17 0.868 0.172 0.088
Na18 0.991 0.339 0.679
Y1 0.002 0.339 0.030
Y2 0.002 0.665 0.482
Y3 0.017 0.994 0.162
Y4 0.020 0.003 0.349
Y5 0.021 0.002 0.656
Y6 0.498 0.496 0.152
Y7 0.499 0.492 0.663
Y8 0.499 0.501 0.852
Y9 0.503 0.841 0.526
Y10 0.516 0.170 0.986
Y11 0.526 0.839 0.026
Y12 0.990 0.338 0.526
Si1 0.145 0.532 0.090
Si2 0.164 0.858 0.760
Si3 0.199 0.501 0.758
Si4 0.321 0.004 0.257
Si5 0.352 0.357 0.261
Si6 0.372 0.031 0.590
Si7 0.643 0.689 0.422
Si8 0.652 0.313 0.091
Si9 0.658 0.347 0.759
Si10 0.708 0.335 0.421
Si11 0.712 0.671 0.091
Si12 0.802 0.169 0.591
Si13 0.808 0.833 0.921
Si14 0.862 0.847 0.259
Si15 0.870 0.188 0.921
Sn1 0.002 0.998 0.859
Sn2 0.004 0.333 0.324
Sn3 0.022 0.674 0.700
Sn4 0.498 0.180 0.197
Sn5 0.509 0.834 0.826
Sn6 0.516 0.498 0.357
Sn7 0.518 0.836 0.317
Sn8 0.523 0.171 0.691
Sn9 0.523 0.172 0.489
Sn10 0.991 0.671 0.990
Sn11 0.992 0.671 0.190
Sn12 0.999 0.337 0.820
S1 0.150 0.815 0.089
S2 0.160 0.151 0.759
S3 0.160 0.481 0.421
S4 0.161 0.189 0.425
S5 0.214 0.838 0.422
S6 0.215 0.168 0.092
S7 0.297 0.337 0.922
S8 0.300 0.669 0.592
S9 0.355 0.690 0.925
S10 0.356 0.982 0.921
S11 0.358 0.650 0.259
S12 0.365 0.315 0.589
S13 0.653 0.027 0.094
S14 0.653 0.986 0.423
S15 0.658 0.657 0.754
S16 0.709 0.002 0.759
S17 0.807 0.503 0.259
S18 0.856 0.156 0.256
S19 0.863 0.529 0.594
S20 0.864 0.487 0.922
S21 0.865 0.812 0.592
O1 0.073 0.439 0.087
O2 0.081 0.763 0.754
O3 0.082 0.577 0.149
O4 0.083 0.900 0.093
O5 0.085 0.903 0.814
O6 0.088 0.776 0.037
O7 0.089 0.105 0.420
O8 0.090 0.585 0.751
O9 0.091 0.441 0.371
O10 0.092 0.567 0.426
O11 0.093 0.117 0.706
O12 0.095 0.237 0.766
O13 0.102 0.230 0.477
O14 0.103 0.413 0.766
O15 0.112 0.095 0.096
O16 0.114 0.912 0.419
O17 0.118 0.761 0.427
O18 0.122 0.594 0.033
O19 0.124 0.246 0.089
O20 0.125 0.763 0.141
O21 0.128 0.096 0.808
O22 0.131 0.242 0.374
O23 0.134 0.433 0.474
O24 0.144 0.910 0.702
O25 0.170 0.344 0.271
O26 0.192 0.025 0.592
O27 0.192 0.682 0.928
O28 0.194 0.991 0.914
O29 0.195 0.658 0.255
O30 0.203 0.322 0.584
O31 0.205 0.329 0.870
O32 0.207 0.680 0.643
O33 0.209 0.347 0.973
O34 0.209 0.660 0.540
O35 0.221 0.986 0.201
O36 0.222 0.025 0.313
O37 0.293 0.486 0.700
O38 0.300 0.524 0.812
O39 0.302 0.848 0.474
O40 0.305 0.156 0.040
O41 0.306 0.177 0.143
O42 0.307 0.828 0.371
O43 0.313 0.822 0.084
O44 0.321 0.492 0.415
O45 0.323 0.158 0.753
O46 0.323 0.529 0.093
O47 0.324 0.181 0.429
O48 0.345 0.843 0.770
O49 0.369 0.412 0.205
O50 0.381 0.932 0.972
O51 0.384 0.743 0.873
O52 0.389 0.596 0.310
O53 0.390 0.263 0.641
O54 0.392 0.260 0.924
O55 0.394 0.092 0.533
O56 0.396 0.746 0.589
O57 0.400 0.411 0.918
O58 0.400 0.595 0.596
O59 0.414 0.915 0.267
O60 0.415 0.732 0.976
O61 0.422 0.737 0.267
O62 0.424 0.067 0.925
O63 0.424 0.616 0.207
O64 0.424 0.941 0.870
O65 0.427 0.276 0.537
O66 0.428 0.607 0.918
O67 0.430 0.088 0.248
O68 0.430 0.263 0.257
O69 0.431 0.402 0.317
O70 0.432 0.076 0.649
O71 0.433 0.400 0.593
O72 0.446 0.937 0.587
O73 0.570 0.594 0.411
O74 0.571 0.253 0.752
O75 0.583 0.071 0.428
O76 0.583 0.406 0.095
O77 0.585 0.724 0.484
O78 0.587 0.941 0.090
O79 0.588 0.946 0.372
O80 0.590 0.742 0.761
O81 0.591 0.272 0.032
O82 0.591 0.388 0.817
O83 0.592 0.068 0.145
O84 0.595 0.619 0.702
O85 0.601 0.754 0.089
O86 0.603 0.248 0.428
O87 0.605 0.420 0.415
O88 0.606 0.589 0.095
O89 0.612 0.078 0.754
O90 0.615 0.925 0.766
O91 0.616 0.759 0.371
O92 0.621 0.246 0.145
O93 0.623 0.075 0.041
O94 0.628 0.933 0.474
O95 0.632 0.406 0.703
O96 0.633 0.604 0.805
O97 0.681 0.836 0.261
O98 0.688 0.182 0.921
O99 0.695 0.164 0.252
O100 0.699 0.523 0.597
O101 0.699 0.818 0.864
O102 0.701 0.494 0.916
O103 0.701 0.815 0.588
O104 0.703 0.188 0.647
O105 0.705 0.156 0.533
O106 0.710 0.852 0.976
O107 0.715 0.518 0.311
O108 0.718 0.491 0.209
O109 0.798 0.989 0.707
O110 0.803 0.017 0.810
O111 0.804 0.353 0.477
O112 0.809 0.658 0.033
O113 0.812 0.691 0.147
O114 0.816 0.994 0.418
O115 0.818 0.021 0.097
O116 0.818 0.319 0.366
O117 0.822 0.667 0.748
O118 0.826 0.685 0.425
O119 0.833 0.313 0.092
O120 0.838 0.337 0.762
O121 0.887 0.104 0.307
O122 0.888 0.907 0.205
O123 0.889 0.433 0.972
O124 0.893 0.579 0.542
O125 0.895 0.756 0.642
O126 0.898 0.256 0.869
O127 0.900 0.425 0.267
O128 0.905 0.579 0.256
O129 0.907 0.085 0.594
O130 0.911 0.918 0.915
O131 0.914 0.747 0.927
O132 0.916 0.251 0.588
O133 0.921 0.118 0.204
O134 0.924 0.572 0.645
O135 0.925 0.773 0.539
O136 0.925 0.886 0.318
O137 0.927 0.242 0.262
O138 0.927 0.897 0.597
O139 0.929 0.447 0.870
O140 0.931 0.444 0.590
O141 0.933 0.223 0.981
O142 0.934 0.571 0.927
O143 0.946 0.753 0.252
O144 0.948 0.094 0.910
```